No. 1
## Na14Zn8Si3S9O48 (GGA-PBE)

Data for crystalline Na14Zn8Si3S9O48 at its relaxed geometry.

Lattice parameters (Å, degrees): 9.134 15.790 21.980 89.21 89.59 89.95
Element x y z (fractional)
Na (0.000, 0.000, 0.000)
Na (0.001, 0.031, 0.656)
Na (0.006, 0.373, 0.002)
Na (0.007, 0.339, 0.330)
Na (0.045, 0.363, 0.650)
Na (0.046, 0.697, 0.991)
Na (0.065, 0.021, 0.324)
Na (0.171, 0.520, 0.576)
Na (0.186, 0.852, 0.910)
Na (0.189, 0.189, 0.749)
Na (0.190, 0.190, 0.243)
Na (0.194, 0.519, 0.081)
Na (0.208, 0.847, 0.413)
Na (0.310, 0.359, 0.164)
Na (0.331, 0.696, 0.483)
Na (0.342, 0.030, 0.823)
Na (0.358, 0.037, 0.168)
Na (0.360, 0.374, 0.497)
Na (0.371, 0.672, 0.173)
Na (0.383, 0.335, 0.826)
Na (0.497, 0.833, 0.337)
Na (0.510, 0.171, 0.669)
Na (0.519, 0.874, 0.997)
Na (0.523, 0.541, 0.662)
Na (0.540, 0.532, 0.329)
Na (0.562, 0.188, 0.985)
Na (0.575, 0.856, 0.653)
Na (0.681, 0.010, 0.576)
Na (0.687, 0.349, 0.905)
Na (0.688, 0.691, 0.738)
Na (0.693, 0.353, 0.413)
Na (0.695, 0.692, 0.254)
Na (0.709, 0.016, 0.078)
Na (0.813, 0.523, 0.818)
Na (0.831, 0.196, 0.491)
Na (0.832, 0.862, 0.154)
Na (0.861, 0.869, 0.506)
Na (0.875, 0.839, 0.824)
Na (0.878, 0.503, 0.501)
Na (0.880, 0.534, 0.162)
Na (0.887, 0.175, 0.167)
Na (0.990, 0.676, 0.660)
Zn (0.158, 0.861, 0.065)
Zn (0.174, 0.190, 0.101)
Zn (0.178, 0.525, 0.729)
Zn (0.184, 0.524, 0.236)
Zn (0.185, 0.528, 0.423)
Zn (0.185, 0.852, 0.262)
Zn (0.186, 0.855, 0.750)
Zn (0.188, 0.196, 0.580)
Zn (0.191, 0.862, 0.563)
Zn (0.196, 0.195, 0.404)
Zn (0.197, 0.526, 0.924)
Zn (0.203, 0.190, 0.893)
Zn (0.658, 0.696, 0.399)
Zn (0.670, 0.014, 0.431)
Zn (0.687, 0.696, 0.902)
Zn (0.690, 0.696, 0.082)
Zn (0.692, 0.025, 0.921)
Zn (0.693, 0.023, 0.733)
Zn (0.694, 0.352, 0.760)
Zn (0.698, 0.353, 0.256)
Zn (0.702, 0.025, 0.232)
Zn (0.704, 0.701, 0.597)
Zn (0.705, 0.362, 0.072)
Zn (0.720, 0.362, 0.564)
Si (0.038, 0.005, 0.165)
Si (0.041, 0.344, 0.490)
Si (0.335, 0.673, 0.325)
Si (0.532, 0.842, 0.498)
Si (0.546, 0.173, 0.827)
Si (0.839, 0.844, 0.990)
Si (0.840, 0.507, 0.665)
Si (0.893, 0.862, 0.664)
Si (0.995, 0.361, 0.163)
S (0.036, 0.706, 0.159)
S (0.041, 0.042, 0.492)
S (0.041, 0.673, 0.831)
S (0.046, 0.377, 0.832)
S (0.335, 0.707, 0.663)
S (0.336, 0.010, 0.662)
S (0.337, 0.043, 0.997)
S (0.342, 0.341, 0.996)
S (0.349, 0.369, 0.326)
S (0.389, 0.687, 0.997)
S (0.392, 0.355, 0.661)
S (0.396, 0.029, 0.326)
S (0.484, 0.528, 0.829)
S (0.486, 0.854, 0.159)
S (0.491, 0.191, 0.497)
S (0.532, 0.870, 0.828)
S (0.542, 0.539, 0.496)
S (0.543, 0.210, 0.159)
S (0.545, 0.507, 0.159)
S (0.836, 0.172, 0.330)
S (0.837, 0.875, 0.329)
S (0.838, 0.539, 0.992)
S (0.843, 0.207, 0.660)
S (0.882, 0.523, 0.328)
S (0.898, 0.192, 0.994)
S (0.981, 0.688, 0.493)
S (0.997, 0.024, 0.829)
O (0.000, 0.178, 0.329)
O (0.003, 0.532, 0.990)
O (0.006, 0.196, 0.655)
O (0.020, 0.850, 0.994)
O (0.021, 0.519, 0.669)
O (0.053, 0.951, 0.102)
O (0.064, 0.761, 0.211)
O (0.068, 0.283, 0.432)
O (0.072, 0.767, 0.495)
O (0.077, 0.428, 0.887)
O (0.078, 0.091, 0.548)
O (0.081, 0.623, 0.777)
O (0.082, 0.613, 0.491)
O (0.090, 0.102, 0.833)
O (0.092, 0.630, 0.888)
O (0.096, 0.949, 0.827)
O (0.097, 0.955, 0.494)
O (0.098, 0.447, 0.169)
O (0.100, 0.744, 0.101)
O (0.101, 0.277, 0.159)
O (0.104, 0.085, 0.437)
O (0.105, 0.621, 0.164)
O (0.105, 0.759, 0.829)
O (0.113, 0.417, 0.777)
O (0.114, 0.291, 0.836)
O (0.115, 0.958, 0.223)
O (0.116, 0.439, 0.485)
O (0.117, 0.304, 0.553)
O (0.119, 0.099, 0.162)
O (0.265, 0.095, 0.657)
O (0.268, 0.426, 0.991)
O (0.269, 0.620, 0.670)
O (0.270, 0.744, 0.608)
O (0.271, 0.771, 0.321)
O (0.273, 0.082, 0.941)
O (0.275, 0.955, 0.001)
O (0.276, 0.627, 0.388)
O (0.277, 0.299, 0.050)
O (0.279, 0.972, 0.720)
O (0.281, 0.283, 0.331)
O (0.281, 0.410, 0.271)
O (0.283, 0.615, 0.992)
O (0.294, 0.279, 0.660)
O (0.296, 0.104, 0.330)
O (0.300, 0.434, 0.665)
O (0.302, 0.095, 0.051)
O (0.303, 0.767, 0.000)
O (0.303, 0.955, 0.610)
O (0.305, 0.951, 0.327)
O (0.309, 0.613, 0.265)
O (0.311, 0.761, 0.717)
O (0.313, 0.291, 0.940)
O (0.320, 0.420, 0.381)
O (0.351, 0.847, 0.504)
O (0.362, 0.184, 0.830)
O (0.369, 0.865, 0.821)
O (0.379, 0.533, 0.493)
O (0.382, 0.200, 0.155)
O (0.384, 0.518, 0.161)
O (0.387, 0.517, 0.883)
O (0.394, 0.199, 0.444)
O (0.394, 0.845, 0.214)
O (0.397, 0.862, 0.103)
O (0.398, 0.535, 0.772)
O (0.403, 0.176, 0.554)
O (0.475, 0.673, 0.053)
O (0.481, 0.037, 0.268)
O (0.482, 0.344, 0.717)
O (0.484, 0.363, 0.606)
O (0.486, 0.695, 0.943)
O (0.494, 0.023, 0.378)
O (0.497, 0.696, 0.659)
O (0.498, 0.020, 0.663)
O (0.499, 0.036, 0.994)
O (0.504, 0.348, 0.000)
O (0.512, 0.365, 0.319)
O (0.518, 0.681, 0.327)
O (0.554, 0.788, 0.435)
O (0.559, 0.920, 0.884)
O (0.569, 0.265, 0.212)
O (0.570, 0.112, 0.768)
O (0.574, 0.271, 0.500)
O (0.574, 0.452, 0.106)
O (0.577, 0.450, 0.829)
O (0.577, 0.589, 0.551)
O (0.580, 0.933, 0.162)
O (0.582, 0.603, 0.833)
O (0.584, 0.777, 0.158)
O (0.597, 0.120, 0.491)
O (0.600, 0.784, 0.832)
O (0.600, 0.911, 0.774)
O (0.601, 0.451, 0.500)
O (0.603, 0.469, 0.216)
O (0.605, 0.129, 0.891)
O (0.607, 0.248, 0.102)
O (0.608, 0.578, 0.440)
O (0.610, 0.124, 0.166)
O (0.611, 0.797, 0.557)
O (0.612, 0.271, 0.822)
O (0.618, 0.592, 0.153)
O (0.621, 0.934, 0.494)
O (0.760, 0.600, 0.659)
O (0.763, 0.804, 0.053)
O (0.763, 0.939, 0.985)
O (0.764, 0.460, 0.725)
O (0.771, 0.914, 0.272)
O (0.772, 0.259, 0.330)
O (0.773, 0.790, 0.334)
O (0.774, 0.122, 0.666)
O (0.774, 0.453, 0.995)
O (0.780, 0.245, 0.603)
O (0.783, 0.126, 0.385)
O (0.783, 0.446, 0.326)
O (0.783, 0.583, 0.937)
O (0.786, 0.947, 0.668)
O (0.790, 0.600, 0.334)
O (0.790, 0.777, 0.662)
O (0.799, 0.126, 0.274)
O (0.799, 0.269, 0.995)
O (0.805, 0.930, 0.382)
O (0.806, 0.115, 0.991)
O (0.806, 0.589, 0.048)
O (0.814, 0.782, 0.932)
O (0.816, 0.261, 0.713)
O (0.826, 0.448, 0.604)
O (0.858, 0.019, 0.169)
O (0.860, 0.349, 0.494)
O (0.873, 0.696, 0.154)
O (0.877, 0.677, 0.830)
O (0.878, 0.041, 0.490)
O (0.883, 0.694, 0.441)
O (0.885, 0.372, 0.828)
O (0.890, 0.341, 0.222)
O (0.899, 0.676, 0.552)
O (0.900, 0.380, 0.101)
O (0.903, 0.011, 0.884)
O (0.908, 0.031, 0.773)
O (0.969, 0.530, 0.271)
O (0.979, 0.508, 0.381)
O (0.982, 0.185, 0.052)
O (0.989, 0.846, 0.727)
O (0.997, 0.203, 0.941)
O (0.999, 0.872, 0.325)
O (0.999, 0.877, 0.604)

Results
- Theoretical density: 3.1 g/cm³
- E_tot: -1380.80 eV per cell
- SG: P1, No. 1
- Formation enthalpy at 0 K: -204 kJ/mol of atoms

No. 2
## Ca2B11O22 (GGA-PBE)

Data for crystalline Ca2B11O22 at its relaxed geometry.

Lattice parameters (Å, degrees): 6.592 6.622 10.360 88.89 78.23 60.89
Element x y z (fractional)
Ca (0.000, 0.000, 0.000)
Ca (0.106, 0.457, 0.770)
B (0.056, 0.032, 0.495)
B (0.066, 0.516, 0.070)
B (0.223, 0.957, 0.695)
B (0.353, 0.386, 0.415)
B (0.402, 0.117, 0.012)
B (0.483, 0.430, 0.045)
B (0.512, 0.574, 0.753)
B (0.617, 0.877, 0.728)
B (0.642, 0.707, 0.063)
B (0.753, 0.647, 0.274)
B (0.788, 0.148, 0.713)
O (0.098, 0.054, 0.359)
O (0.123, 0.497, 0.498)
O (0.177, 0.279, 0.995)
O (0.246, 0.915, 0.553)
O (0.247, 0.591, 0.055)
O (0.276, 0.740, 0.764)
O (0.365, 0.387, 0.548)
O (0.392, 0.033, 0.716)
O (0.455, 0.892, 0.005)
O (0.468, 0.332, 0.292)
O (0.559, 0.354, 0.771)
O (0.560, 0.190, 0.030)
O (0.578, 0.768, 0.207)
O (0.661, 0.480, 0.033)
O (0.688, 0.639, 0.731)
O (0.712, 0.677, 0.410)
O (0.784, 0.931, 0.745)
O (0.827, 0.146, 0.567)
O (0.844, 0.104, 0.248)
O (0.881, 0.683, 0.006)
O (0.983, 0.496, 0.209)
O (0.986, 0.143, 0.763)

Results
- Theoretical density: 2.4 g/cm³
- E_tot: -258.05 eV per cell
- SG: P1, No. 1
- Formation enthalpy at 0 K: -226 kJ/mol of atoms